(1)
NaCuSe (PBE, relaxed); volume = 57 Å³/f.u.
1.0
4.088 0.000 0.000
0.000 4.088 0.000
0.000 0.000 6.875
Na Cu Se
2 2 2
Cartesian
1.022 1.022 1.114 Na
3.066 3.066 5.761 Na
1.022 3.066 3.437 Cu
3.066 1.022 3.437 Cu
1.022 1.022 4.971 Se
3.066 3.066 1.904 Se

(2)
LaPd3 (PBE, relaxed); volume = 76 Å³/f.u.
1.0
4.237 0.000 0.000
0.000 4.237 0.000
0.000 0.000 4.237
La Pd
1 3
Cartesian
0.000 0.000 0.000 La
0.000 2.118 2.118 Pd
2.118 0.000 2.118 Pd
2.118 2.118 0.000 Pd

(3)
LiNbIr2 (PBE, relaxed); volume = 59 Å³/f.u.
1.0
6.177 0.000 0.000
0.000 6.177 0.000
0.000 0.000 6.177
Li Nb Ir
4 4 8
Cartesian
0.000 0.000 0.000 Li
0.000 3.088 3.088 Li
3.088 0.000 3.088 Li
3.088 3.088 0.000 Li
0.000 0.000 3.088 Nb
0.000 3.088 0.000 Nb
3.088 0.000 0.000 Nb
3.088 3.088 3.088 Nb
1.544 1.544 1.544 Ir
1.544 1.544 4.633 Ir
1.544 4.633 1.544 Ir
1.544 4.633 4.633 Ir
4.633 1.544 1.544 Ir
4.633 1.544 4.633 Ir
4.633 4.633 1.544 Ir
4.633 4.633 4.633 Ir

(4)
Li2CuAsO4 (PBE, relaxed); total magnetic moment = 0.00 μB per atom; volume = 98 Å³/f.u.; energy above the lowest structure with this stoichiometry = 0.000 eV per atom
1.0
5.578 0.000 0.000
0.000 5.099 0.000
-0.198 0.000 6.876
Li Cu As O
4 2 2 8
Cartesian
0.429 0.000 2.182 Li
1.076 2.645 0.095 Li
4.304 0.096 6.780 Li
4.951 2.549 4.694 Li
1.764 2.969 3.442 Cu
3.616 0.420 3.434 Cu
1.393 0.133 5.272 As
3.987 2.683 1.604 As
0.613 0.924 3.951 O
0.667 0.680 6.729 O
1.172 3.497 5.189 O
2.270 3.007 1.616 O
3.110 0.457 5.260 O
4.209 0.948 1.687 O
4.713 3.230 0.147 O
4.768 3.473 2.925 O

(5)
Ag2SeO2 (PBE, relaxed); total magnetic moment = 0.00 μB per atom; volume = 136 Å³/f.u.
1.0
0.000 5.166 10.311
5.108 0.000 10.311
5.108 5.166 0.000
Ag Se O
8 4 8
Cartesian
8.013 4.890 10.289 Ag
5.458 2.308 10.332 Ag
5.458 5.441 5.134 Ag
2.204 2.308 5.134 Ag
8.013 8.024 15.488 Ag
4.759 4.890 15.488 Ag
4.759 8.024 10.289 Ag
2.204 5.441 10.332 Ag
5.108 2.583 5.155 Se
2.554 5.166 5.155 Se
2.554 2.583 10.311 Se
5.108 5.166 10.311 Se
6.431 3.859 6.022 O
6.431 3.889 9.444 O
8.986 6.472 11.178 O
8.986 6.442 14.599 O
1.231 3.889 6.022 O
1.231 3.859 9.444 O
3.785 6.442 11.178 O
3.785 6.472 14.599 O

(6)
Mg6ZrC (PBE, relaxed); total magnetic moment = 0.06 μB per atom; volume = 180 Å³/f.u.; energy above the lowest structure with this stoichiometry = 0.000 eV per atom
1.0
4.590 0.000 0.000
0.000 7.774 0.000
0.000 0.000 10.066
Mg Zr C
12 2 2
Cartesian
0.000 0.000 0.000 Mg
0.000 1.523 2.938 Mg
0.000 2.364 7.971 Mg
0.000 3.887 5.033 Mg
0.000 5.409 7.971 Mg
0.000 6.251 2.938 Mg
2.295 0.000 7.983 Mg
2.295 1.761 0.514 Mg
2.295 2.126 5.547 Mg
2.295 3.887 2.950 Mg
2.295 5.648 5.547 Mg
2.295 6.013 0.514 Mg
0.000 0.000 5.718 Zr
0.000 3.887 0.685 Zr
2.295 0.000 5.842 C
2.295 3.887 0.809 C

| no. | formation enthalpy at 0 K (eV/atom) | calculated total energy (eV for the cell shown) |
| --- | --- | --- |
| 1 | -0.749 | -21.39 |
| 2 | -0.821 | -23.76 |
| 3 | -0.488 | -126.55 |
| 4 | -1.786 | -87.81 |
| 5 | -0.104 | -72.81 |
| 6 | 0.219 | -51.24 |